Material: Rb5Si2NiO8
Method: DFT, GGA+U
State: optimized geometry

Output
The magnetic moment comes out at 2.0 μB/cell. The total energy comes out at -5.573 eV per atom. As for the formation energy: -2.2559 eV per atom.

Structure (POSCAR):
```
Rb5Si2NiO8
1.0
4.389 -5.190 0.000
4.389 5.190 0.000
-2.030 0.000 13.783
Rb Si Ni O
10 4 2 16
direct
0.068 0.415 0.847 Rb
0.152 0.848 0.750 Rb
0.247 0.538 0.414 Rb
0.415 0.068 0.347 Rb
0.462 0.753 0.086 Rb
0.538 0.247 0.914 Rb
0.585 0.932 0.653 Rb
0.753 0.462 0.586 Rb
0.848 0.152 0.250 Rb
0.932 0.585 0.153 Rb
0.216 0.280 0.626 Si
0.280 0.216 0.126 Si
0.720 0.784 0.874 Si
0.784 0.720 0.374 Si
0.000 0.000 0.000 Ni
0.000 0.000 0.500 Ni
0.025 0.859 0.384 O
0.141 0.975 0.116 O
0.158 0.262 0.020 O
0.208 0.514 0.619 O
0.222 0.346 0.219 O
0.262 0.158 0.520 O
0.346 0.222 0.719 O
0.486 0.792 0.881 O
0.514 0.208 0.119 O
0.654 0.778 0.281 O
0.738 0.842 0.480 O
0.778 0.654 0.781 O
0.792 0.486 0.381 O
0.842 0.738 0.980 O
0.859 0.025 0.884 O
0.975 0.141 0.616 O
```

Material: NaLi2FeF6
Method: DFT, GGA+U
State: optimized geometry

Output
The magnetic moment comes out at 5.0 μB/cell. The total energy comes out at -4.699 eV per atom. As for the formation energy: -2.6917 eV per atom.

Structure (POSCAR):
```
NaLi2FeF6
1.0
0.000 4.104 4.104
4.104 0.000 4.104
4.104 4.104 0.000
Na Li Fe F
1 2 1 6
direct
0.000 0.000 0.000 Na
0.250 0.250 0.250 Li
0.750 0.750 0.750 Li
0.500 0.500 0.500 Fe
0.263 0.263 0.737 F
0.263 0.737 0.263 F
0.263 0.737 0.737 F
0.737 0.263 0.263 F
0.737 0.263 0.737 F
0.737 0.737 0.263 F
```

Material: Li3NiB2O6
Method: DFT, GGA+U
State: optimized geometry

Output
The excess energy over the best structure of this formula in the dataset comes out at 0 meV per atom. The magnetic moment comes out at 4.0 μB/cell. The total energy comes out at -6.278 eV per atom. As for the formation energy: -2.2870 eV per atom.

Structure (POSCAR):
```
Li3NiB2O6
1.0
5.244 0.000 0.000
0.000 8.829 0.000
-4.862 0.000 9.302
Li Ni B O
12 4 8 24
direct
0.004 0.021 0.159 Li
0.004 0.479 0.659 Li
0.044 0.660 0.877 Li
0.044 0.840 0.377 Li
0.433 0.009 0.610 Li
0.433 0.491 0.110 Li
0.567 0.509 0.890 Li
0.567 0.991 0.390 Li
0.956 0.160 0.623 Li
0.956 0.340 0.123 Li
0.996 0.521 0.341 Li
0.996 0.979 0.841 Li
0.482 0.689 0.625 Ni
0.482 0.811 0.125 Ni
0.518 0.189 0.875 Ni
0.518 0.311 0.375 Ni
0.054 0.181 0.380 B
0.054 0.319 0.880 B
0.467 0.157 0.131 B
0.467 0.343 0.631 B
0.533 0.657 0.369 B
0.533 0.843 0.869 B
0.946 0.681 0.120 B
0.946 0.819 0.620 B
0.132 0.178 0.849 O
0.132 0.322 0.349 O
0.179 0.673 0.093 O
0.179 0.827 0.593 O
0.200 0.052 0.384 O
0.200 0.448 0.884 O
0.331 0.674 0.421 O
0.331 0.826 0.921 O
0.361 0.022 0.145 O
0.361 0.478 0.645 O
0.377 0.210 0.673 O
0.377 0.290 0.173 O
0.623 0.710 0.827 O
0.623 0.790 0.327 O
0.639 0.522 0.355 O
0.639 0.978 0.855 O
0.669 0.174 0.079 O
0.669 0.326 0.579 O
0.800 0.552 0.116 O
0.800 0.948 0.616 O
0.821 0.173 0.407 O
0.821 0.327 0.907 O
0.868 0.678 0.651 O
0.868 0.822 0.151 O
```

Material: Mn2Fe3Co3O16
Method: DFT, GGA+U
State: optimized geometry

Output
The magnetic moment comes out at 21.0 μB/cell. The total energy comes out at -6.197 eV per atom. As for the formation energy: -1.2714 eV per atom.

Structure (POSCAR):
```
Mn2Fe3Co3O16
1.0
5.003 -2.876 0.000
5.003 2.876 0.000
-0.314 0.000 8.849
Mn Fe Co O
2 3 3 16
direct
0.000 0.000 0.000 Mn
0.664 0.664 0.502 Mn
0.162 0.662 0.275 Fe
0.496 0.496 0.775 Fe
0.662 0.162 0.275 Fe
0.162 0.162 0.278 Co
0.497 0.997 0.776 Co
0.997 0.497 0.776 Co
0.002 0.002 0.386 O
0.162 0.661 0.883 O
0.168 0.168 0.875 O
0.291 0.864 0.142 O
0.322 0.322 0.170 O
0.326 0.326 0.669 O
0.372 0.818 0.645 O
0.492 0.994 0.385 O
0.501 0.501 0.385 O
0.661 0.162 0.883 O
0.667 0.667 0.883 O
0.810 0.810 0.655 O
0.818 0.372 0.645 O
0.853 0.853 0.133 O
0.864 0.291 0.142 O
0.994 0.492 0.385 O
```

Material: LiFe2Cl2O2
Method: DFT, GGA+U
State: optimized geometry

Output
The excess energy over the best structure of this formula in the dataset comes out at 0 meV per atom. The magnetic moment comes out at 54.0 μB/cell. The total energy comes out at -5.233 eV per atom. As for the formation energy: -1.4394 eV per atom.

Structure (POSCAR):
```
LiFe2Cl2O2
1.0
5.291 0.000 0.000
0.000 24.218 0.000
-0.718 0.000 5.258
Li Fe Cl O
6 12 12 12
direct
0.000 0.022 0.250 Li
0.000 0.978 0.750 Li
0.500 0.314 0.250 Li
0.500 0.355 0.750 Li
0.500 0.645 0.250 Li
0.500 0.686 0.750 Li
0.000 0.138 0.750 Fe
0.000 0.193 0.250 Fe
0.000 0.465 0.750 Fe
0.000 0.535 0.250 Fe
0.000 0.807 0.750 Fe
0.000 0.862 0.250 Fe
0.500 0.132 0.250 Fe
0.500 0.202 0.750 Fe
0.500 0.472 0.250 Fe
0.500 0.528 0.750 Fe
0.500 0.798 0.250 Fe
0.500 0.868 0.750 Fe
0.238 0.279 0.511 Cl
0.238 0.721 0.011 Cl
0.247 0.389 0.031 Cl
0.247 0.611 0.531 Cl
0.252 0.055 0.968 Cl
0.252 0.945 0.468 Cl
0.748 0.055 0.532 Cl
0.748 0.945 0.032 Cl
0.753 0.389 0.469 Cl
0.753 0.611 0.969 Cl
0.762 0.279 0.989 Cl
0.762 0.721 0.489 Cl
0.234 0.147 0.489 O
0.234 0.185 0.990 O
0.234 0.815 0.490 O
0.234 0.853 0.989 O
0.268 0.480 0.515 O
0.268 0.520 0.015 O
0.732 0.480 0.985 O
0.732 0.520 0.485 O
0.766 0.147 0.011 O
0.766 0.185 0.510 O
0.766 0.815 0.010 O
0.766 0.853 0.511 O
```

Material: LiV6F13
Method: DFT, GGA+U
State: optimized geometry

Output
The magnetic moment comes out at 36.0 μB/cell. The total energy comes out at -6.183 eV per atom. As for the formation energy: -2.9283 eV per atom.

Structure (POSCAR):
```
LiV6F13
1.0
8.068 0.000 0.000
3.756 7.196 0.000
2.557 1.481 9.798
Li V F
2 12 26
direct
0.219 0.159 0.055 Li
0.781 0.841 0.945 Li
0.062 0.557 0.240 V
0.154 0.083 0.502 V
0.279 0.632 0.502 V
0.387 0.167 0.745 V
0.422 0.715 0.022 V
0.492 0.259 0.273 V
0.508 0.741 0.727 V
0.578 0.285 0.978 V
0.613 0.833 0.255 V
0.721 0.368 0.498 V
0.846 0.917 0.498 V
0.938 0.443 0.760 V
0.011 0.661 0.622 F
0.118 0.900 0.399 F
0.157 0.749 0.120 F
0.160 0.328 0.884 F
0.162 0.242 0.637 F
0.266 0.475 0.371 F
0.294 0.813 0.615 F
0.298 0.324 0.132 F
0.323 0.942 0.861 F
0.409 0.914 0.127 F
0.417 0.041 0.380 F
0.428 0.555 0.879 F
0.456 0.384 0.615 F
0.544 0.616 0.385 F
0.572 0.445 0.121 F
0.583 0.959 0.620 F
0.591 0.086 0.873 F
0.677 0.058 0.139 F
0.702 0.676 0.868 F
0.706 0.187 0.385 F
0.734 0.525 0.629 F
0.838 0.758 0.363 F
0.840 0.672 0.116 F
0.843 0.251 0.880 F
0.882 0.100 0.601 F
0.989 0.339 0.378 F
```

Material: Na2V9MoH35N4O38
Method: DFT, GGA+U
State: optimized geometry

Output
The magnetic moment comes out at 0.0 μB/cell. The total energy comes out at -5.931 eV per atom. As for the formation energy: -1.5410 eV per atom.

Structure (POSCAR):
```
Na2V9MoH35N4O38
1.0
9.098 0.000 0.000
-4.540 9.671 0.000
-0.510 -3.962 10.525
Na V Mo H N O
2 9 1 35 4 38
direct
0.000 0.000 0.000 Na
0.197 0.329 0.249 Na
0.293 0.886 0.357 V
0.420 0.166 0.604 V
0.565 0.451 0.848 V
0.579 0.170 0.871 V
0.628 0.167 0.381 V
0.639 0.883 0.400 V
0.761 0.449 0.623 V
0.778 0.163 0.644 V
0.911 0.451 0.885 V
0.430 0.875 0.625 Mo
0.063 0.216 0.850 H
0.077 0.761 0.828 H
0.085 0.401 0.602 H
0.127 0.586 0.413 H
0.133 0.118 0.407 H
0.209 0.178 0.854 H
0.240 0.907 0.888 H
0.253 0.439 0.534 H
0.254 0.396 0.666 H
0.261 0.561 0.673 H
0.322 0.103 0.190 H
0.349 0.473 0.058 H
0.355 0.158 0.076 H
0.387 0.590 0.193 H
0.417 0.810 0.099 H
0.481 0.745 0.967 H
0.489 0.429 0.459 H
0.497 0.583 0.467 H
0.499 0.920 0.012 H
0.580 0.460 0.158 H
0.620 0.874 0.094 H
0.704 0.413 0.235 H
0.704 0.743 0.787 H
0.717 0.897 0.793 H
0.731 0.591 0.278 H
0.778 0.515 0.141 H
0.821 0.745 0.054 H
0.839 0.172 0.171 H
0.839 0.841 0.193 H
0.883 0.229 0.059 H
0.934 0.764 0.577 H
0.953 0.888 0.713 H
0.953 0.927 0.583 H
0.966 0.436 0.376 H
0.971 0.130 0.380 H
0.212 0.449 0.619 N
0.503 0.838 0.043 N
0.700 0.493 0.203 N
0.993 0.875 0.629 N
0.084 0.479 0.375 O
0.087 0.549 0.983 O
0.089 0.174 0.377 O
0.119 0.180 0.897 O
0.119 0.785 0.257 O
0.127 0.855 0.899 O
0.252 0.040 0.480 O
0.255 0.796 0.489 O
0.286 0.150 0.140 O
0.360 0.765 0.717 O
0.368 0.294 0.701 O
0.373 0.490 0.149 O
0.385 0.046 0.711 O
0.416 0.035 0.293 O
0.426 0.792 0.303 O
0.427 0.475 0.431 O
0.476 0.551 0.918 O
0.496 0.300 0.919 O
0.502 0.061 0.956 O
0.542 0.041 0.520 O
0.542 0.283 0.507 O
0.552 0.795 0.525 O
0.645 0.530 0.722 O
0.653 0.280 0.726 O
0.656 0.040 0.741 O
0.703 0.273 0.295 O
0.708 0.032 0.329 O
0.724 0.780 0.328 O
0.744 0.846 0.843 O
0.776 0.539 0.946 O
0.791 0.297 0.953 O
0.814 0.281 0.538 O
0.819 0.542 0.528 O
0.826 0.034 0.545 O
0.832 0.841 0.106 O
0.916 0.184 0.112 O
0.940 0.528 0.753 O
0.950 0.288 0.764 O
```

Material: Na5Mn7O16
Method: DFT, GGA+U
State: optimized geometry

Output
The excess energy over the best structure of this formula in the dataset comes out at 58 meV per atom. The magnetic moment comes out at 22.0 μB/cell. The total energy comes out at -6.401 eV per atom. As for the formation energy: -1.8563 eV per atom.

Structure (POSCAR):
```
Na5Mn7O16
1.0
5.451 -2.951 0.000
5.451 2.951 0.000
-3.166 0.000 10.228
Na Mn O
5 7 16
direct
0.000 0.000 0.000 Na
0.237 0.237 0.063 Na
0.304 0.304 0.416 Na
0.696 0.696 0.584 Na
0.763 0.763 0.937 Na
0.000 0.000 0.500 Mn
0.236 0.236 0.738 Mn
0.236 0.723 0.736 Mn
0.277 0.764 0.264 Mn
0.723 0.236 0.736 Mn
0.764 0.277 0.264 Mn
0.764 0.764 0.262 Mn
0.087 0.087 0.838 O
0.102 0.102 0.381 O
0.111 0.590 0.824 O
0.113 0.685 0.371 O
0.315 0.887 0.629 O
0.377 0.377 0.635 O
0.410 0.889 0.176 O
0.432 0.432 0.169 O
0.568 0.568 0.831 O
0.590 0.111 0.824 O
0.623 0.623 0.365 O
0.685 0.113 0.371 O
0.887 0.315 0.629 O
0.889 0.410 0.176 O
0.898 0.898 0.619 O
0.913 0.913 0.162 O
```